PuAlCo after structural relaxation, computed with PBE-GGA.

Theoretical density = 11.5 g cm⁻³
Total energy = -77.9 eV/cell

Cell lengths 6.3785, 6.3785, 4.0515 Å; angles 90.00, 90.00, 120.00 degrees
Space group P-62m (No. 189)
Asymmetric unit:
Pu (0.0000, 0.5715, 0.0000)
Al (0.0000, 0.2377, 0.5000)
Co (0.0000, 0.0000, 0.0000)
Co (0.3333, 0.6667, 0.5000)